No. 1
# MgSnP2O7

A geometry-optimized MgSnP2O7 structure (GGA-PBE, the Materials Project database).

abc: 9.241 7.195 9.337
angles: 70.16 90.00 90.00
Atoms (fractional coordinates):
Sn 0.087 0.771 0.577
Sn 0.413 0.771 0.077
Sn 0.913 0.229 0.423
Sn 0.587 0.229 0.923
P 0.289 0.485 0.455
P 0.789 0.515 0.045
P 0.749 0.905 0.776
P 0.211 0.485 0.955
P 0.249 0.095 0.724
P 0.711 0.515 0.545
P 0.251 0.095 0.224
P 0.751 0.905 0.276
O 0.848 0.912 0.646
O 0.403 0.499 0.332
O 0.815 0.368 0.959
O 0.185 0.632 0.041
O 0.134 0.515 0.393
O 0.348 0.088 0.854
O 0.409 0.139 0.244
O 0.267 0.904 0.682
O 0.685 0.368 0.459
O 0.689 0.733 0.427
O 0.189 0.267 0.073
O 0.152 0.088 0.354
O 0.091 0.139 0.744
O 0.097 0.499 0.832
O 0.866 0.485 0.607
O 0.903 0.501 0.168
O 0.315 0.632 0.541
O 0.652 0.912 0.146
O 0.597 0.501 0.668
O 0.591 0.861 0.756
O 0.634 0.485 0.107
O 0.767 0.096 0.818
O 0.909 0.861 0.256
O 0.311 0.267 0.573
O 0.811 0.733 0.927
O 0.366 0.515 0.893
O 0.733 0.096 0.318
O 0.233 0.904 0.182
Mg 0.556 0.300 0.306
Mg 0.944 0.300 0.806
Mg 0.444 0.700 0.694
Mg 0.056 0.700 0.194

Calculated values
Polymorph energy (0 for the lowest one)   0.0 meV per atom
Magnetic moment   0.00 μB/atom
Density   3.6 g/cm³

---

No. 2
# MgSnP2O7

A geometry-optimized MgSnP2O7 structure (GGA-PBE, the Materials Project database).

abc: 6.726 7.048 7.128
angles: 75.46 63.35 80.09
Atoms (fractional coordinates):
O 0.799 0.766 0.712
O 0.266 0.577 0.315
O 0.590 0.335 0.133
O 0.384 0.077 0.866
O 0.956 0.943 0.220
O 0.410 0.665 0.867
O 0.734 0.423 0.685
O 0.628 0.727 0.468
O 0.372 0.273 0.532
O 0.044 0.057 0.780
O 0.616 0.923 0.134
O 0.201 0.234 0.288
O 0.919 0.646 0.108
O 0.081 0.354 0.892
P 0.787 0.818 0.223
P 0.351 0.364 0.302
P 0.213 0.182 0.777
P 0.649 0.636 0.698
Mg 0.316 0.829 0.101
Mg 0.684 0.171 0.899
Sn 0.125 0.696 0.726
Sn 0.875 0.304 0.274

Calculated values
Polymorph energy (0 for the lowest one)   25.5 meV per atom
Magnetic moment   0.00 μB/atom
Density   3.6 g/cm³

---

No. 3
# MgSn2P2O8

A geometry-optimized MgSn2P2O8 structure (GGA-PBE, the Materials Project database).

abc: 5.322 9.625 16.344
angles: 87.48 80.64 74.01
Atoms (fractional coordinates):
O 0.763 0.574 0.126
O 0.833 0.819 0.606
O 0.967 0.368 0.224
O 0.754 0.320 0.553
O 0.165 0.183 0.392
O 0.367 0.069 0.099
O 0.398 0.614 0.292
O 0.694 0.117 0.792
O 0.606 0.381 0.708
O 0.740 0.319 0.107
O 0.243 0.427 0.873
O 0.538 0.427 0.400
O 0.369 0.820 0.052
O 0.943 0.990 0.122
O 0.631 0.929 0.900
O 0.179 0.377 0.073
O 0.817 0.620 0.924
O 0.630 0.121 0.425
O 0.556 0.129 0.275
O 0.944 0.490 0.621
O 0.445 0.868 0.725
O 0.036 0.631 0.774
O 0.055 0.009 0.878
O 0.250 0.677 0.447
O 0.453 0.927 0.374
O 0.057 0.508 0.379
O 0.541 0.074 0.627
O 0.627 0.178 0.947
O 0.367 0.879 0.575
O 0.306 0.881 0.207
O 0.463 0.569 0.599
O 0.250 0.684 0.894
P 0.757 0.061 0.878
P 0.455 0.087 0.362
P 0.543 0.913 0.638
P 0.908 0.413 0.137
P 0.697 0.438 0.622
P 0.091 0.587 0.862
P 0.242 0.938 0.122
P 0.304 0.560 0.378
Sn 0.196 0.197 0.988
Sn 0.802 0.797 0.012
Sn 0.498 0.496 0.999
Sn 0.615 0.701 0.488
Sn 0.384 0.300 0.512
Sn 0.650 0.750 0.251
Sn 0.997 0.004 0.501
Sn 0.348 0.249 0.750
Mg 0.077 0.647 0.655
Mg 0.378 0.853 0.845
Mg 0.922 0.354 0.344
Mg 0.620 0.146 0.155

Calculated values
Magnetic moment   0.00 μB/atom
Density   3.8 g/cm³

---

No. 4
# MgSn2P2O9

A geometry-optimized MgSn2P2O9 structure (GGA-PBE, the Materials Project database).

abc: 6.487 8.078 16.079
angles: 90.00 90.00 90.00
Atoms (fractional coordinates):
O 0.064 0.094 0.126
O 0.750 0.729 0.984
O 0.436 0.094 0.126
O 0.451 0.922 0.657
O 0.250 0.229 0.516
O 0.250 0.728 0.754
O 0.250 0.271 0.016
O 0.250 0.028 0.782
O 0.436 0.406 0.626
O 0.549 0.422 0.843
O 0.064 0.406 0.626
O 0.750 0.228 0.746
O 0.750 0.138 0.584
O 0.936 0.906 0.874
O 0.451 0.578 0.157
O 0.250 0.638 0.916
O 0.750 0.771 0.484
O 0.750 0.272 0.246
O 0.750 0.362 0.084
O 0.549 0.078 0.343
O 0.250 0.543 0.505
O 0.250 0.957 0.005
O 0.250 0.472 0.282
O 0.564 0.594 0.374
O 0.250 0.772 0.254
O 0.750 0.043 0.995
O 0.750 0.972 0.218
O 0.936 0.594 0.374
O 0.951 0.422 0.843
O 0.951 0.078 0.343
O 0.750 0.457 0.495
O 0.049 0.922 0.657
O 0.564 0.906 0.874
O 0.250 0.862 0.416
O 0.750 0.528 0.718
O 0.049 0.578 0.157
P 0.250 0.898 0.708
P 0.750 0.607 0.434
P 0.750 0.398 0.792
P 0.250 0.107 0.066
P 0.250 0.393 0.566
P 0.750 0.893 0.934
P 0.250 0.602 0.208
P 0.750 0.102 0.292
Sn 0.000 0.000 0.500
Sn 0.750 0.123 0.115
Sn 0.250 0.877 0.885
Sn 0.250 0.623 0.385
Sn 0.500 0.500 0.000
Sn 0.500 0.000 0.500
Sn 0.000 0.500 0.000
Sn 0.750 0.377 0.615
Mg 0.250 0.993 0.307
Mg 0.750 0.007 0.693
Mg 0.750 0.493 0.193
Mg 0.250 0.507 0.807

Calculated values
Magnetic moment   0.00 μB/atom
Density   3.7 g/cm³

---

No. 5
# Sr2MgZn2Sn2P4O16

A geometry-optimized Sr2MgZn2Sn2P4O16 structure (GGA-PBE, the Materials Project database).

abc: 5.608 7.904 9.737
angles: 107.02 103.16 86.48
Atoms (fractional coordinates):
O 0.758 0.114 0.369
O 0.677 0.456 0.228
O 0.629 0.383 0.612
O 0.530 0.118 0.814
O 0.848 0.975 0.112
O 0.770 0.497 0.895
O 0.470 0.882 0.186
O 0.371 0.617 0.388
O 0.691 0.705 0.747
O 0.152 0.025 0.888
O 0.323 0.544 0.772
O 0.086 0.189 0.692
O 0.914 0.811 0.308
O 0.230 0.503 0.105
O 0.242 0.886 0.631
O 0.309 0.295 0.253
Zn 0.030 0.435 0.603
Zn 0.970 0.565 0.397
Sn 0.408 0.181 0.425
Sn 0.592 0.819 0.575
Sr 0.123 0.744 0.983
Sr 0.877 0.256 0.017
Mg 0.000 0.000 0.500
P 0.738 0.935 0.229
P 0.262 0.065 0.771
P 0.406 0.474 0.241
P 0.594 0.526 0.759

Calculated values
Polymorph energy (0 for the lowest one)   50.0 meV per atom
Magnetic moment   0.00 μB/atom
Density   3.9 g/cm³

---

No. 6
# Sr2MgZn2Sn2P4O16

A geometry-optimized Sr2MgZn2Sn2P4O16 structure (GGA-PBE, the Materials Project database).

abc: 5.265 8.389 9.831
angles: 106.75 99.10 88.12
Atoms (fractional coordinates):
Sn 0.420 0.213 0.451
Sn 0.744 0.860 0.651
P 0.733 0.968 0.227
P 0.589 0.544 0.786
P 0.409 0.464 0.231
P 0.248 0.053 0.730
Zn 0.953 0.402 0.383
Zn 0.048 0.404 0.630
O 0.256 0.484 0.091
O 0.393 0.615 0.363
O 0.296 0.567 0.786
O 0.275 0.310 0.261
O 0.930 0.836 0.257
O 0.540 0.070 0.794
O 0.716 0.714 0.791
O 0.773 0.998 0.085
O 0.230 0.927 0.577
O 0.735 0.501 0.917
O 0.643 0.411 0.643
O 0.092 0.974 0.820
O 0.454 0.906 0.226
O 0.778 0.136 0.355
O 0.122 0.221 0.732
O 0.696 0.418 0.217
Mg 0.265 0.835 0.371
Sr 0.885 0.251 0.993
Sr 0.096 0.742 0.004

Calculated values
Polymorph energy (0 for the lowest one)   10.4 meV per atom
Magnetic moment   0.00 μB/atom
Density   3.8 g/cm³

---

No. 7
# Sr2MgZn2Sn2P4O16

A geometry-optimized Sr2MgZn2Sn2P4O16 structure (GGA-PBE, the Materials Project database).

abc: 5.425 7.597 10.039
angles: 106.03 86.62 92.38
Atoms (fractional coordinates):
O 0.808 0.464 0.652
O 0.186 0.555 0.332
O 0.910 0.812 0.288
O 0.196 0.965 0.874
O 0.528 0.122 0.753
O 0.807 0.999 0.130
O 0.400 0.544 0.803
O 0.818 0.559 0.913
O 0.714 0.793 0.790
O 0.325 0.232 0.249
O 0.735 0.119 0.401
O 0.284 0.873 0.603
O 0.060 0.161 0.731
O 0.563 0.469 0.155
O 0.130 0.394 0.082
O 0.459 0.868 0.259
Sr 0.169 0.750 0.026
Sr 0.788 0.211 0.973
Sn 0.736 0.897 0.614
Sn 0.519 0.361 0.458
P 0.264 0.030 0.747
P 0.684 0.586 0.791
P 0.300 0.406 0.201
P 0.721 0.956 0.265
Mg 0.217 0.823 0.397
Zn 0.164 0.383 0.655
Zn 0.789 0.556 0.319

Calculated values
Polymorph energy (0 for the lowest one)   29.6 meV per atom
Magnetic moment   0.00 μB/atom
Density   4.0 g/cm³

---

No. 8
# Sr2MgZn2Sn2P4O16

A geometry-optimized Sr2MgZn2Sn2P4O16 structure (GGA-PBE, the Materials Project database).

abc: 6.366 7.723 9.489
angles: 104.41 109.75 106.13
Atoms (fractional coordinates):
O 0.175 0.787 0.592
O 0.204 0.929 0.879
O 0.565 0.512 0.213
O 0.936 0.921 0.323
O 0.435 0.488 0.787
O 0.883 0.682 0.983
O 0.225 0.517 0.304
O 0.314 0.202 0.225
O 0.686 0.798 0.775
O 0.117 0.318 0.017
O 0.796 0.071 0.121
O 0.775 0.483 0.696
O 0.493 0.887 0.208
O 0.825 0.213 0.408
O 0.507 0.113 0.792
O 0.064 0.079 0.677
P 0.690 0.607 0.803
P 0.758 0.018 0.260
P 0.310 0.393 0.197
P 0.242 0.982 0.740
Sn 0.524 0.821 0.525
Sn 0.476 0.179 0.475
Sr 0.243 0.637 0.939
Sr 0.757 0.363 0.061
Zn 0.162 0.262 0.571
Zn 0.838 0.738 0.429
Mg 0.000 0.000 0.000

Calculated values
Polymorph energy (0 for the lowest one)   71.7 meV per atom
Magnetic moment   0.00 μB/atom
Density   4.0 g/cm³

---

No. 9
# Sr2MgZn2Sn2P4O16

A geometry-optimized Sr2MgZn2Sn2P4O16 structure (GGA-PBE, the Materials Project database).

abc: 5.934 7.490 9.555
angles: 113.05 99.19 92.51
Atoms (fractional coordinates):
Sn 0.390 0.179 0.473
Sn 0.610 0.821 0.527
O 0.549 0.792 0.177
O 0.451 0.208 0.823
O 0.315 0.212 0.242
O 0.257 0.882 0.618
O 0.743 0.118 0.382
O 0.208 0.430 0.089
O 0.013 0.161 0.720
O 0.655 0.423 0.621
O 0.616 0.416 0.181
O 0.792 0.570 0.911
O 0.384 0.584 0.819
O 0.345 0.577 0.379
O 0.685 0.788 0.758
O 0.987 0.839 0.280
O 0.172 0.001 0.890
O 0.828 0.999 0.110
Mg 0.500 0.500 0.000
Sr 0.840 0.189 0.963
Sr 0.160 0.811 0.037
Zn 0.979 0.296 0.572
Zn 0.021 0.704 0.428
P 0.773 0.936 0.235
P 0.374 0.403 0.222
P 0.626 0.597 0.778
P 0.227 0.064 0.765

Calculated values
Polymorph energy (0 for the lowest one)   59.5 meV per atom
Magnetic moment   0.00 μB/atom
Density   4.1 g/cm³

---

No. 10
# Sr2MgZn2Sn2P4O16

A geometry-optimized Sr2MgZn2Sn2P4O16 structure (GGA-PBE, the Materials Project database).

abc: 5.452 8.179 9.872
angles: 110.09 99.85 85.53
Atoms (fractional coordinates):
P 0.637 0.549 0.775
P 0.390 0.451 0.246
P 0.759 0.964 0.241
P 0.252 0.044 0.772
O 0.162 0.963 0.876
O 0.656 0.384 0.629
O 0.763 0.126 0.389
O 0.506 0.121 0.813
O 0.767 0.512 0.911
O 0.040 0.172 0.743
O 0.672 0.465 0.242
O 0.776 0.694 0.755
O 0.228 0.456 0.105
O 0.356 0.592 0.780
O 0.504 0.879 0.215
O 0.970 0.831 0.269
O 0.822 0.014 0.116
O 0.333 0.284 0.275
O 0.303 0.612 0.378
O 0.248 0.877 0.625
Sr 0.146 0.736 0.032
Sr 0.857 0.244 0.998
Mg 0.089 0.724 0.701
Sn 0.525 0.855 0.482
Sn 0.387 0.208 0.465
Zn 0.914 0.660 0.364
Zn 0.985 0.270 0.583

Calculated values
Polymorph energy (0 for the lowest one)   54.0 meV per atom
Magnetic moment   0.00 μB/atom
Density   3.9 g/cm³

---

No. 11
# Sr2MgZn2Sn2P4O16

A geometry-optimized Sr2MgZn2Sn2P4O16 structure (GGA-PBE, the Materials Project database).

abc: 5.757 8.216 9.379
angles: 110.45 101.08 86.25
Atoms (fractional coordinates):
O 0.653 0.743 0.759
O 0.208 0.441 0.075
O 0.784 0.158 0.391
O 0.830 0.983 0.111
O 0.351 0.609 0.360
O 0.624 0.389 0.207
O 0.450 0.531 0.839
O 0.231 0.874 0.620
O 0.963 0.845 0.307
O 0.900 0.522 0.850
O 0.005 0.153 0.748
O 0.617 0.430 0.589
O 0.518 0.911 0.246
O 0.437 0.144 0.820
O 0.169 0.963 0.901
O 0.259 0.284 0.267
P 0.212 0.027 0.774
P 0.775 0.970 0.260
P 0.655 0.556 0.763
P 0.364 0.429 0.226
Sr 0.832 0.201 0.994
Sr 0.169 0.775 0.052
Sn 0.593 0.816 0.556
Sn 0.421 0.178 0.453
Zn 0.845 0.425 0.428
Zn 0.026 0.686 0.438
Mg 0.206 0.372 0.841

Calculated values
Polymorph energy (0 for the lowest one)   0.0 meV per atom
Magnetic moment   0.00 μB/atom
Density   3.9 g/cm³

---

Number 1: energy of formation from the pure elements -2648 meV per atom. Number 2: energy of formation from the pure elements -2622 meV per atom. Number 3: energy of formation from the pure elements -2482 meV per atom. Number 4: energy of formation from the pure elements -2432 meV per atom. Number 5: energy of formation from the pure elements -2571 meV per atom. Number 6: energy of formation from the pure elements -2611 meV per atom. Number 7: energy of formation from the pure elements -2592 meV per atom. Number 8: energy of formation from the pure elements -2550 meV per atom. Number 9: energy of formation from the pure elements -2562 meV per atom. Number 10: energy of formation from the pure elements -2567 meV per atom. Number 11: energy of formation from the pure elements -2621 meV per atom.